This record from Materials Project describes crystalline CsY2Cl7 at its relaxed geometry. The functional is PBE.

## Properties
The energy of formation from the pure elements is -2.696 eV/atom. The calculated volume is 1267.42 Å³/cell. For the total energy, the calculation gives -4.943 eV/atom. The calculation puts the total energy after the MP2020 corrections at -5.37 eV per atom.

```
CsY2Cl7
1.0
14.087 0.000 0.000
0.000 7.057 0.000
0.000 0.000 12.748
Cs Y Cl
4 8 28
direct
0.041 0.250 0.196
0.459 0.750 0.696
0.541 0.250 0.304
0.959 0.750 0.804
0.238 0.250 0.541
0.250 0.250 0.844
0.250 0.750 0.344
0.262 0.750 0.041
0.738 0.250 0.959
0.750 0.250 0.656
0.750 0.750 0.156
0.762 0.750 0.459
0.115 0.750 0.189
0.128 0.009 0.426
0.128 0.491 0.426
0.139 0.009 0.960
0.139 0.491 0.960
0.179 0.013 0.694
0.179 0.487 0.694
0.321 0.513 0.194
0.321 0.987 0.194
0.361 0.509 0.460
0.361 0.991 0.460
0.372 0.509 0.926
0.372 0.991 0.926
0.385 0.250 0.689
0.615 0.750 0.311
0.628 0.009 0.074
0.628 0.491 0.074
0.639 0.009 0.540
0.639 0.491 0.540
0.679 0.013 0.806
0.679 0.487 0.806
0.821 0.513 0.306
0.821 0.987 0.306
0.861 0.509 0.040
0.861 0.991 0.040
0.872 0.509 0.574
0.872 0.991 0.574
0.885 0.250 0.811
```